[1]
First-principles (PBE with a Hubbard U) data for crystalline Ag2WO4 at its relaxed geometry, as listed in Materials Project. Values from VASP.

Computed properties:
E_form, kJ per mole of atoms: -130
Total DFT energy (no corrections), eV/atom: -5.813
Symmetry: Pnnm, No. 58
Offset from the most stable computed form, eV per formula unit: 0.00

Quantum ESPRESSO input file:
```
&SYSTEM
  ibrav = 0, nat = 56, ntyp = 3
/
ATOMIC_SPECIES
Ag 107.87 Ag.upf
W 183.84 W.upf
O 16.00 O.upf
ATOMIC_POSITIONS crystal
Ag 0.000 0.000 0.000
Ag 0.000 0.000 0.313
Ag 0.000 0.000 0.687
Ag 0.000 0.500 0.000
Ag 0.015 0.242 0.174
Ag 0.015 0.242 0.826
Ag 0.485 0.742 0.326
Ag 0.485 0.742 0.674
Ag 0.500 0.000 0.500
Ag 0.500 0.500 0.187
Ag 0.500 0.500 0.500
Ag 0.500 0.500 0.813
Ag 0.515 0.258 0.326
Ag 0.515 0.258 0.674
Ag 0.985 0.758 0.174
Ag 0.985 0.758 0.826
W 0.000 0.500 0.359
W 0.000 0.500 0.641
W 0.026 0.245 0.500
W 0.474 0.745 0.000
W 0.500 0.000 0.141
W 0.500 0.000 0.859
W 0.526 0.255 0.000
W 0.974 0.755 0.500
O 0.140 0.817 0.389
O 0.140 0.817 0.611
O 0.151 0.587 0.500
O 0.188 0.580 0.269
O 0.188 0.580 0.731
O 0.196 0.363 0.392
O 0.196 0.363 0.608
O 0.226 0.646 0.000
O 0.274 0.146 0.500
O 0.304 0.863 0.108
O 0.304 0.863 0.892
O 0.312 0.080 0.231
O 0.312 0.080 0.769
O 0.349 0.087 0.000
O 0.360 0.317 0.111
O 0.360 0.317 0.889
O 0.640 0.683 0.111
O 0.640 0.683 0.889
O 0.651 0.913 0.000
O 0.688 0.920 0.231
O 0.688 0.920 0.769
O 0.696 0.137 0.108
O 0.696 0.137 0.892
O 0.726 0.854 0.500
O 0.774 0.354 0.000
O 0.804 0.637 0.392
O 0.804 0.637 0.608
O 0.812 0.420 0.269
O 0.812 0.420 0.731
O 0.849 0.413 0.500
O 0.860 0.183 0.389
O 0.860 0.183 0.611
CELL_PARAMETERS angstrom
5.983 0.000 0.000
0.000 10.956 0.000
0.000 0.000 12.628
```

=====

[2]
First-principles (PBE with a Hubbard U) data for crystalline YAgW2O8 at its relaxed geometry, as listed in Materials Project. Values from VASP.

Computed properties:
E_form, kJ per mole of atoms: -225
Total DFT energy (no corrections), eV/atom: -7.368
Symmetry: P-1, No. 2
Offset from the most stable computed form, eV per formula unit: 0.44

Quantum ESPRESSO input file:
```
&SYSTEM
  ibrav = 0, nat = 12, ntyp = 4
/
ATOMIC_SPECIES
Y 88.91 Y.upf
Ag 107.87 Ag.upf
W 183.84 W.upf
O 16.00 O.upf
ATOMIC_POSITIONS crystal
Y 0.000 0.000 0.000
Ag 0.500 0.500 0.000
W 0.245 0.669 0.508
W 0.755 0.331 0.492
O 0.140 0.475 0.312
O 0.230 0.931 0.255
O 0.235 0.795 0.737
O 0.345 0.326 0.687
O 0.655 0.674 0.313
O 0.765 0.205 0.263
O 0.770 0.069 0.745
O 0.860 0.525 0.688
CELL_PARAMETERS angstrom
5.236 0.000 0.000
0.040 6.010 0.000
2.376 2.207 5.347
```

=====

[3]
First-principles (PBE with a Hubbard U) data for crystalline YAgW2O8 at its relaxed geometry, as listed in Materials Project. Values from VASP.

Computed properties:
E_form, kJ per mole of atoms: -229
Total DFT energy (no corrections), eV/atom: -7.405
Symmetry: C2/m, No. 12
Offset from the most stable computed form, eV per formula unit: 0.00

Quantum ESPRESSO input file:
```
&SYSTEM
  ibrav = 0, nat = 24, ntyp = 4
/
ATOMIC_SPECIES
Y 88.91 Y.upf
Ag 107.87 Ag.upf
W 183.84 W.upf
O 16.00 O.upf
ATOMIC_POSITIONS crystal
Y 0.199 0.801 0.000
Y 0.801 0.199 0.000
Ag 0.183 0.183 0.517
Ag 0.817 0.817 0.483
W 0.289 0.289 0.031
W 0.336 0.664 0.500
W 0.664 0.336 0.500
W 0.711 0.711 0.969
O 0.056 0.056 0.864
O 0.147 0.398 0.243
O 0.185 0.719 0.648
O 0.199 0.459 0.913
O 0.281 0.815 0.352
O 0.398 0.147 0.243
O 0.459 0.199 0.913
O 0.478 0.478 0.658
O 0.522 0.522 0.342
O 0.541 0.801 0.087
O 0.602 0.853 0.757
O 0.719 0.185 0.648
O 0.801 0.541 0.087
O 0.815 0.281 0.352
O 0.853 0.602 0.757
O 0.944 0.944 0.136
CELL_PARAMETERS angstrom
5.048 -5.421 0.000
5.048 5.421 0.000
-4.420 0.000 5.847
```

=====

[4]
First-principles (PBE with a Hubbard U) data for crystalline YAgW2O8 at its relaxed geometry, as listed in Materials Project. Values from VASP.

Computed properties:
E_form, kJ per mole of atoms: -228
Total DFT energy (no corrections), eV/atom: -7.397
Symmetry: P2/c, No. 13
Offset from the most stable computed form, eV per formula unit: 0.10

Quantum ESPRESSO input file:
```
&SYSTEM
  ibrav = 0, nat = 24, ntyp = 4
/
ATOMIC_SPECIES
Y 88.91 Y.upf
Ag 107.87 Ag.upf
W 183.84 W.upf
O 16.00 O.upf
ATOMIC_POSITIONS crystal
Y 0.000 0.187 0.250
Y 0.000 0.813 0.750
Ag 0.500 0.194 0.750
Ag 0.500 0.806 0.250
W 0.240 0.331 0.993
W 0.240 0.669 0.493
W 0.760 0.331 0.507
W 0.760 0.669 0.007
O 0.142 0.420 0.607
O 0.142 0.580 0.107
O 0.222 0.145 0.117
O 0.222 0.855 0.617
O 0.244 0.121 0.877
O 0.244 0.879 0.377
O 0.348 0.392 0.406
O 0.348 0.608 0.906
O 0.652 0.392 0.094
O 0.652 0.608 0.594
O 0.756 0.121 0.623
O 0.756 0.879 0.123
O 0.778 0.145 0.383
O 0.778 0.855 0.883
O 0.858 0.420 0.893
O 0.858 0.580 0.393
CELL_PARAMETERS angstrom
5.243 0.000 0.000
0.000 6.000 0.000
-4.718 0.000 10.337
```

=====

[5]
First-principles (PBE with a Hubbard U) data for crystalline Li3AlMo2As2O14 at its relaxed geometry, as listed in Materials Project. Values from VASP.

Computed properties:
E_form, kJ per mole of atoms: -210
Total DFT energy (no corrections), eV/atom: -6.440
Symmetry: P-1, No. 2

Quantum ESPRESSO input file:
```
&SYSTEM
  ibrav = 0, nat = 22, ntyp = 5
/
ATOMIC_SPECIES
Li 6.94 Li.upf
Al 26.98 Al.upf
Mo 95.94 Mo.upf
As 74.92 As.upf
O 16.00 O.upf
ATOMIC_POSITIONS crystal
Li 0.000 0.000 0.000
Li 0.194 0.887 0.348
Li 0.806 0.113 0.652
Al 0.500 0.500 0.500
Mo 0.495 0.339 0.854
Mo 0.505 0.661 0.146
As 0.150 0.732 0.675
As 0.850 0.268 0.325
O 0.133 0.480 0.765
O 0.137 0.292 0.457
O 0.161 0.011 0.788
O 0.280 0.834 0.091
O 0.325 0.337 0.036
O 0.417 0.792 0.594
O 0.439 0.630 0.323
O 0.561 0.370 0.677
O 0.583 0.208 0.406
O 0.675 0.663 0.964
O 0.720 0.166 0.909
O 0.839 0.989 0.212
O 0.863 0.708 0.543
O 0.867 0.520 0.235
CELL_PARAMETERS angstrom
5.283 0.000 0.000
-1.437 5.300 0.000
-2.049 -1.648 9.218
```

=====

[6]
First-principles (PBE with a Hubbard U) data for crystalline Ca2Al2FeSi4BHO16 at its relaxed geometry, as listed in Materials Project. Values from VASP.

Computed properties:
E_form, kJ per mole of atoms: -300
Total DFT energy (no corrections), eV/atom: -7.463
Symmetry: P-1, No. 2

Quantum ESPRESSO input file:
```
&SYSTEM
  ibrav = 0, nat = 54, ntyp = 7
/
ATOMIC_SPECIES
Ca 40.08 Ca.upf
Al 26.98 Al.upf
Fe 55.84 Fe.upf
Si 28.09 Si.upf
B 10.81 B.upf
H 1.01 H.upf
O 16.00 O.upf
ATOMIC_POSITIONS crystal
Ca 0.186 0.419 0.100
Ca 0.252 0.893 0.653
Ca 0.748 0.107 0.347
Ca 0.814 0.581 0.900
Al 0.053 0.246 0.800
Al 0.351 0.079 0.936
Al 0.649 0.921 0.064
Al 0.947 0.754 0.200
Fe 0.233 0.609 0.413
Fe 0.767 0.391 0.587
Si 0.208 0.266 0.451
Si 0.220 0.976 0.275
Si 0.304 0.510 0.744
Si 0.358 0.731 0.979
Si 0.642 0.269 0.021
Si 0.696 0.490 0.256
Si 0.780 0.024 0.725
Si 0.792 0.734 0.549
B 0.462 0.212 0.635
B 0.538 0.788 0.365
H 0.010 0.875 0.958
H 0.990 0.125 0.042
O 0.021 0.934 0.245
O 0.049 0.310 0.603
O 0.097 0.178 0.993
O 0.125 0.434 0.843
O 0.134 0.130 0.372
O 0.204 0.678 0.122
O 0.226 0.403 0.339
O 0.238 0.638 0.634
O 0.278 0.884 0.898
O 0.325 0.147 0.746
O 0.330 0.860 0.382
O 0.380 0.003 0.127
O 0.400 0.587 0.865
O 0.417 0.190 0.489
O 0.436 0.255 0.984
O 0.469 0.375 0.659
O 0.531 0.625 0.341
O 0.564 0.745 0.016
O 0.583 0.810 0.511
O 0.600 0.413 0.135
O 0.620 0.997 0.873
O 0.670 0.140 0.618
O 0.675 0.853 0.254
O 0.722 0.116 0.102
O 0.762 0.362 0.366
O 0.774 0.597 0.661
O 0.796 0.322 0.878
O 0.866 0.870 0.628
O 0.875 0.566 0.157
O 0.903 0.822 0.007
O 0.951 0.690 0.397
O 0.979 0.066 0.755
CELL_PARAMETERS angstrom
7.200 0.000 0.000
1.303 8.989 0.000
2.042 -0.046 9.102
```